Entry 1:
Rb2MoAuF6 | GGA+U | relaxed

Output
Energy of formation: -2401 meV per atom
E_tot: -4.560 eV/atom

a = 6.4473 Å, b = 6.4473 Å, c = 6.4473 Å
α = 60.00°, β = 60.00°, γ = 60.00°
With the nearest neighbours (Å) after each atom.
Sites, in units of the cell vectors:
Rb: 0.2500 0.2500 0.2500  12 F 3.23
Rb: 0.7500 0.7500 0.7500  12 F 3.23
Mo: 0.0000 0.0000 0.0000  6 F 2.08
Au: 0.5000 0.5000 0.5000  6 F 2.48
F: 0.2280 0.2280 0.7720  1 Mo 2.08
F: 0.2280 0.7720 0.2280  1 Mo 2.08
F: 0.2280 0.7720 0.7720  1 Mo 2.08
F: 0.7720 0.2280 0.2280  1 Mo 2.08
F: 0.7720 0.2280 0.7720  1 Mo 2.08
F: 0.7720 0.7720 0.2280  1 Mo 2.08

---

Entry 2:
Mn2O3F | GGA+U | relaxed

Output
Energy of formation: -2039 meV per atom
E_tot: -6.910 eV/atom
ΔE to the lowest computed polymorph: 0.002 eV/atom

a = 3.0120 Å, b = 4.6323 Å, c = 4.6323 Å
α = 85.74°, β = 90.00°, γ = 90.00°
With the nearest neighbours (Å) after each atom.
Sites, in units of the cell vectors:
Mn: 0.0000 0.0000 0.0000  4 O 1.93, 2 F 2.07
Mn: 0.5000 0.4716 0.4716  5 O 1.95-2.00, 1 F 2.17
O: 0.0000 0.2858 0.6759  3 Mn 1.93-1.95
O: 0.0000 0.6759 0.2858  3 Mn 1.93-1.95
O: 0.5000 0.1775 0.1775  3 Mn 1.93-2.00
F: 0.5000 0.7909 0.7909  3 Mn 2.07-2.17

---

Entry 3:
AlVP2C2N2O9 | GGA+U | relaxed

Output
Energy of formation: -1914 meV per atom
E_tot: -7.528 eV/atom

a = 8.4561 Å, b = 14.1956 Å, c = 9.8690 Å
α = 90.00°, β = 122.23°, γ = 90.00°
With the nearest neighbours (Å) after each atom.
Sites, in units of the cell vectors:
Al: 0.2110 0.0139 0.4265  4 O 1.75-1.77
Al: 0.2110 0.4861 0.9265  4 O 1.75-1.77
Al: 0.7890 0.5139 0.0735  4 O 1.75-1.77
Al: 0.7890 0.9861 0.5735  4 O 1.75-1.77
V: 0.4396 0.1311 0.1009  1 O 1.62
V: 0.4396 0.3689 0.6009  1 O 1.62
V: 0.5604 0.6311 0.3991  1 O 1.62
V: 0.5604 0.8689 0.8991  1 O 1.62
P: 0.2225 0.0223 0.7593  4 O 1.53-1.57
P: 0.2225 0.4777 0.2593  4 O 1.53-1.57
P: 0.4973 0.6586 0.0486  4 O 1.52-1.57
P: 0.4973 0.8414 0.5486  4 O 1.52-1.57
P: 0.5027 0.1586 0.4514  4 O 1.52-1.57
P: 0.5027 0.3414 0.9514  4 O 1.52-1.57
P: 0.7775 0.5223 0.7407  4 O 1.53-1.57
P: 0.7775 0.9777 0.2407  4 O 1.53-1.57
C: 0.0193 0.2041 0.9820  1 N 1.16
C: 0.0193 0.2959 0.4820  1 N 1.16
C: 0.1547 0.6737 0.5621  1 N 1.17
C: 0.1547 0.8263 0.0621  1 N 1.17
C: 0.8453 0.1737 0.9379  1 N 1.17
C: 0.8453 0.3263 0.4379  1 N 1.17
C: 0.9807 0.7041 0.5180  1 N 1.16
C: 0.9807 0.7959 0.0180  1 N 1.16
N: 0.1726 0.2200 0.0196  1 C 1.16
N: 0.1726 0.2800 0.5196  1 C 1.16
N: 0.3010 0.6417 0.6029  1 C 1.17
N: 0.3010 0.8583 0.1029  1 C 1.17
N: 0.6990 0.1417 0.8971  1 C 1.17
N: 0.6990 0.3583 0.3971  1 C 1.17
N: 0.8274 0.7200 0.4804  1 C 1.16
N: 0.8274 0.7800 0.9804  1 C 1.16
O: 0.0256 0.0032 0.7277  1 P 1.55
O: 0.0256 0.4968 0.2277  1 P 1.55
O: 0.2116 0.0384 0.6011  1 P 1.53
O: 0.2116 0.4616 0.1011  1 P 1.53
O: 0.3108 0.1108 0.3890  1 P 1.55
O: 0.3108 0.3892 0.8890  1 P 1.55
O: 0.3133 0.1089 0.8669  1 P 1.54
O: 0.3133 0.3911 0.3669  1 P 1.54
O: 0.3191 0.0484 0.1167  1 V 1.62
O: 0.3191 0.4516 0.6167  1 V 1.62
O: 0.3368 0.5883 0.9444  1 P 1.55
O: 0.3368 0.9117 0.4444  1 P 1.55
O: 0.3394 0.5692 0.3405  1 P 1.57
O: 0.3394 0.9308 0.8405  1 P 1.57
O: 0.4735 0.7464 0.9521  1 P 1.52
O: 0.4735 0.7536 0.4521  1 P 1.52
O: 0.4814 0.6840 0.1961  1 P 1.57
O: 0.4814 0.8160 0.6961  1 P 1.57
O: 0.5186 0.1840 0.3039  1 P 1.57
O: 0.5186 0.3160 0.8039  1 P 1.57
O: 0.5265 0.2464 0.5479  1 P 1.52
O: 0.5265 0.2536 0.0479  1 P 1.52
O: 0.6606 0.0692 0.1595  1 P 1.57
O: 0.6606 0.4308 0.6595  1 P 1.57
O: 0.6632 0.0883 0.5556  1 P 1.55
O: 0.6632 0.4117 0.0556  1 P 1.55
O: 0.6809 0.5484 0.3833  1 V 1.62
O: 0.6809 0.9516 0.8833  1 V 1.62
O: 0.6867 0.6089 0.6331  1 P 1.54
O: 0.6867 0.8911 0.1331  1 P 1.54
O: 0.6892 0.6108 0.1110  1 P 1.55
O: 0.6892 0.8892 0.6110  1 P 1.55
O: 0.7884 0.5384 0.8989  1 P 1.53
O: 0.7884 0.9616 0.3989  1 P 1.53
O: 0.9744 0.5032 0.7723  1 P 1.55
O: 0.9744 0.9968 0.2723  1 P 1.55

---

Entry 4:
Li3MnPCO7 | GGA+U | relaxed

Output
Energy of formation: -2405 meV per atom
E_tot: -6.842 eV/atom
ΔE to the lowest computed polymorph: 0.017 eV/atom

a = 8.5863 Å, b = 6.4815 Å, c = 9.8550 Å
α = 90.00°, β = 94.62°, γ = 90.00°
With the nearest neighbours (Å) after each atom.
Sites, in units of the cell vectors:
Li: 0.1009 0.2478 0.3651  2 O 1.92-2.00
Li: 0.1009 0.2522 0.8651  2 O 1.92-2.00
Li: 0.2836 0.0127 0.6327  4 O 2.06-2.24
Li: 0.2836 0.4873 0.1327  4 O 2.06-2.24
Li: 0.3509 0.7463 0.3603  5 O 2.03-2.24
Li: 0.3509 0.7537 0.8603  5 O 2.03-2.24
Li: 0.6491 0.2463 0.1397  5 O 2.03-2.24
Li: 0.6491 0.2537 0.6397  5 O 2.03-2.24
Li: 0.7164 0.5127 0.8673  4 O 2.06-2.24
Li: 0.7164 0.9873 0.3673  4 O 2.06-2.24
Li: 0.8991 0.7478 0.1349  2 O 1.92-2.00
Li: 0.8991 0.7522 0.6349  2 O 1.92-2.00
Mn: 0.2709 0.0016 0.1198  5 O 2.15-2.22
Mn: 0.2709 0.4984 0.6198  5 O 2.15-2.22
Mn: 0.7291 0.5016 0.3802  5 O 2.15-2.22
Mn: 0.7291 0.9984 0.8802  5 O 2.15-2.22
P: 0.4075 0.2486 0.3902  4 O 1.55-1.57
P: 0.4075 0.2514 0.8902  4 O 1.55-1.57
P: 0.5925 0.7486 0.1098  4 O 1.55-1.57
P: 0.5925 0.7514 0.6098  4 O 1.55-1.57
C: 0.0416 0.7484 0.3975  3 O 1.28-1.33
C: 0.0416 0.7516 0.8975  3 O 1.28-1.33
C: 0.9584 0.2484 0.1025  3 O 1.28-1.33
C: 0.9584 0.2516 0.6025  3 O 1.28-1.33
O: 0.0704 0.7411 0.7727  1 C 1.28
O: 0.0704 0.7589 0.2727  1 C 1.28
O: 0.1049 0.2476 0.0686  1 C 1.33
O: 0.1049 0.2524 0.5686  1 C 1.33
O: 0.1525 0.7409 0.4953  1 C 1.30
O: 0.1525 0.7591 0.9953  1 C 1.30
O: 0.3102 0.0577 0.3371  1 P 1.56
O: 0.3097 0.0616 0.8397  1 P 1.55
O: 0.3097 0.4384 0.3397  1 P 1.55
O: 0.3102 0.4423 0.8371  1 P 1.56
O: 0.4233 0.2499 0.0496  1 P 1.57
O: 0.4233 0.2501 0.5496  1 P 1.57
O: 0.4256 0.7450 0.1599  1 P 1.55
O: 0.4256 0.7550 0.6599  1 P 1.55
O: 0.5744 0.2450 0.3401  1 P 1.55
O: 0.5744 0.2550 0.8401  1 P 1.55
O: 0.5767 0.7499 0.4504  1 P 1.57
O: 0.5767 0.7501 0.9504  1 P 1.57
O: 0.6898 0.5577 0.1629  1 P 1.56
O: 0.6903 0.5616 0.6603  1 P 1.55
O: 0.6903 0.9384 0.1603  1 P 1.55
O: 0.6898 0.9423 0.6629  1 P 1.56
O: 0.8475 0.2409 0.0047  1 C 1.30
O: 0.8475 0.2591 0.5047  1 C 1.30
O: 0.8951 0.7476 0.4314  1 C 1.33
O: 0.8951 0.7524 0.9314  1 C 1.33
O: 0.9296 0.2411 0.7273  1 C 1.28
O: 0.9296 0.2589 0.2273  1 C 1.28

---

Entry 5:
Sr9LuV7O28 | GGA+U | relaxed

Output
Energy of formation: -3077 meV per atom
E_tot: -7.315 eV/atom

a = 14.8998 Å, b = 14.8998 Å, c = 14.8998 Å
α = 44.84°, β = 44.84°, γ = 44.84°
With the nearest neighbours (Å) after each atom.
Sites, in units of the cell vectors:
Sr: 0.0454 0.4634 0.4912  6 O 2.51-2.73
Sr: 0.2451 0.8211 0.8316  7 O 2.48-2.75
Sr: 0.3211 0.7451 0.3316  7 O 2.48-2.75
Sr: 0.3316 0.3211 0.7451  7 O 2.48-2.75
Sr: 0.3472 0.9282 0.9450  7 O 2.60-2.83
Sr: 0.4282 0.8472 0.4450  7 O 2.60-2.83
Sr: 0.4450 0.4282 0.8472  7 O 2.60-2.83
Sr: 0.4634 0.4912 0.0453  6 O 2.51-2.73
Sr: 0.4912 0.0454 0.4634  6 O 2.51-2.73
Sr: 0.5454 0.9912 0.9634  6 O 2.51-2.73
Sr: 0.7451 0.3316 0.3211  7 O 2.48-2.75
Sr: 0.8211 0.8316 0.2451  7 O 2.48-2.75
Sr: 0.8316 0.2451 0.8211  7 O 2.48-2.75
Sr: 0.8472 0.4450 0.4282  7 O 2.60-2.83
Sr: 0.9282 0.9450 0.3472  7 O 2.60-2.83
Sr: 0.9450 0.3472 0.9282  7 O 2.60-2.83
Sr: 0.9634 0.5454 0.9912  6 O 2.51-2.73
Sr: 0.9912 0.9634 0.5453  6 O 2.51-2.73
Lu: 0.3987 0.3987 0.3987  6 O 2.19-2.22
Lu: 0.8987 0.8987 0.8987  6 O 2.19-2.22
V: 0.0780 0.5899 0.6224  4 O 1.71-1.79
V: 0.0899 0.5780 0.1224  4 O 1.71-1.79
V: 0.1224 0.0899 0.5780  4 O 1.71-1.79
V: 0.1276 0.1276 0.1276  4 O 1.73-1.75
V: 0.1786 0.7114 0.2109  4 O 1.72-1.77
V: 0.2109 0.1786 0.7114  4 O 1.72-1.77
V: 0.2114 0.6786 0.7109  4 O 1.72-1.77
V: 0.5780 0.1224 0.0899  4 O 1.71-1.79
V: 0.5899 0.6224 0.0780  4 O 1.71-1.79
V: 0.6224 0.0780 0.5899  4 O 1.71-1.79
V: 0.6276 0.6276 0.6276  4 O 1.73-1.75
V: 0.6786 0.7109 0.2114  4 O 1.72-1.77
V: 0.7114 0.2109 0.1786  4 O 1.72-1.77
V: 0.7109 0.2114 0.6786  4 O 1.72-1.77
O: 0.9996 0.2953 0.1230  1 V 1.75
O: 0.0000 0.7552 0.3055  1 V 1.74
O: 0.0047 0.5635 0.2909  1 V 1.75
O: 0.0181 0.7625 0.0204  1 V 1.79
O: 0.0204 0.0181 0.7625  1 V 1.79
O: 0.0231 0.7698 0.5412  1 V 1.74
O: 0.0275 0.7685 0.7876  1 V 1.77
O: 0.0352 0.2430 0.7633  1 V 1.73
O: 0.0402 0.4942 0.1353  1 V 1.71
O: 0.0412 0.2698 0.5231  1 V 1.74
O: 0.0635 0.5047 0.7909  1 V 1.75
O: 0.0844 0.0844 0.0844  1 V 1.73
O: 0.1230 0.9996 0.2953  1 V 1.75
O: 0.1353 0.0402 0.4942  1 V 1.71
O: 0.2117 0.7921 0.2221  1 V 1.72
O: 0.2221 0.2117 0.7921  1 V 1.72
O: 0.2430 0.7633 0.0352  1 V 1.73
O: 0.2552 0.5000 0.8055  1 V 1.74
O: 0.2625 0.5181 0.5204  1 V 1.79
O: 0.2633 0.7430 0.5352  1 V 1.73
O: 0.2685 0.5275 0.2876  1 V 1.77
O: 0.2698 0.5231 0.0412  1 V 1.74
O: 0.2876 0.2685 0.5275  1 V 1.77
O: 0.2909 0.0047 0.5635  1 V 1.75
O: 0.2921 0.7117 0.7221  1 V 1.72
O: 0.2953 0.1230 0.9996  1 V 1.75
O: 0.3055 0.0000 0.7552  1 V 1.74
O: 0.4942 0.1353 0.0402  1 V 1.71
O: 0.4996 0.6230 0.7953  1 V 1.75
O: 0.5000 0.8055 0.2552  1 V 1.74
O: 0.5047 0.7909 0.0635  1 V 1.75
O: 0.5181 0.5204 0.2625  1 V 1.79
O: 0.5204 0.2625 0.5181  1 V 1.79
O: 0.5231 0.0412 0.2698  1 V 1.74
O: 0.5275 0.2876 0.2685  1 V 1.77
O: 0.5352 0.2633 0.7430  1 V 1.73
O: 0.5402 0.6353 0.9942  1 V 1.71
O: 0.5412 0.0231 0.7698  1 V 1.74
O: 0.5635 0.2909 0.0047  1 V 1.75
O: 0.5844 0.5844 0.5844  1 V 1.73
O: 0.6230 0.7953 0.4996  1 V 1.75
O: 0.6353 0.9942 0.5402  1 V 1.71
O: 0.7117 0.7221 0.2921  1 V 1.72
O: 0.7221 0.2921 0.7117  1 V 1.72
O: 0.7430 0.5352 0.2633  1 V 1.73
O: 0.7552 0.3055 0.0000  1 V 1.74
O: 0.7625 0.0204 0.0181  1 V 1.79
O: 0.7633 0.0352 0.2430  1 V 1.73
O: 0.7685 0.7876 0.0275  1 V 1.77
O: 0.7698 0.5412 0.0231  1 V 1.74
O: 0.7876 0.0275 0.7685  1 V 1.77
O: 0.7909 0.0635 0.5047  1 V 1.75
O: 0.7921 0.2221 0.2117  1 V 1.72
O: 0.7953 0.4996 0.6230  1 V 1.75
O: 0.8055 0.2552 0.5000  1 V 1.74
O: 0.9942 0.5402 0.6353  1 V 1.71

---

Entry 6:
TiCrSO8 | GGA+U | relaxed

Output
Energy of formation: -2152 meV per atom
E_tot: -7.040 eV/atom

a = 8.5964 Å, b = 8.6588 Å, c = 9.0597 Å
α = 116.90°, β = 91.21°, γ = 118.91°
With the nearest neighbours (Å) after each atom.
Sites, in units of the cell vectors:
Ti: 0.0000 0.0000 0.0000  6 O 1.92-1.98
Ti: 0.1999 0.4007 0.6288  6 O 1.90-2.06
Ti: 0.6949 0.4139 0.1521  6 O 1.88-2.03
Cr: 0.5931 0.9141 0.8121  4 O 1.58-1.72
Cr: 0.8141 0.9129 0.3199  4 O 1.58-1.72
Cr: 0.8823 0.4952 0.8219  4 O 1.58-1.72
S: 0.0831 0.4666 0.3164  4 O 1.42-1.52
S: 0.3099 0.1963 0.8207  4 O 1.43-1.52
S: 0.3740 0.1996 0.3219  4 O 1.42-1.52
O: 0.0181 0.0952 0.4816  1 Cr 1.68
O: 0.0231 0.2667 0.1499  1 S 1.51
O: 0.0357 0.4224 0.7619  1 Cr 1.72, 1 Ti 1.90
O: 0.0623 0.4222 0.4603  1 S 1.51
O: 0.1269 0.1117 0.8609  1 S 1.51
O: 0.2312 0.1047 0.1546  1 S 1.52
O: 0.2642 0.6349 0.3496  1 S 1.42
O: 0.3190 0.0338 0.6860  1 S 1.43
O: 0.3203 0.3493 0.7754  1 S 1.52
O: 0.3539 0.0453 0.3537  1 S 1.42
O: 0.3575 0.3650 0.4642  1 S 1.51
O: 0.3797 0.6923 0.7539  1 Cr 1.72, 1 Ti 1.90
O: 0.4627 0.3272 0.9900  1 S 1.51
O: 0.5593 0.3146 0.2953  1 S 1.51
O: 0.6178 0.9582 0.6600  1 Cr 1.58
O: 0.6336 0.1257 0.9941  1 Cr 1.68
O: 0.6694 0.9782 0.3553  1 Cr 1.58
O: 0.6921 0.3436 0.6688  1 Cr 1.58
O: 0.7254 0.6724 0.2921  1 Cr 1.72, 1 Ti 1.88
O: 0.7607 0.8749 0.8476  1 Cr 1.69
O: 0.8362 0.4938 0.0012  1 Cr 1.68
O: 0.8576 0.8978 0.1360  1 Cr 1.68
O: 0.9309 0.5041 0.2937  1 S 1.52
O: 0.9770 0.7378 0.8607  1 Cr 1.69

---

Entry 7:
Li4NbCr5O12 | GGA+U | relaxed

Output
Energy of formation: -2436 meV per atom
E_tot: -7.306 eV/atom

a = 5.2165 Å, b = 20.9301 Å, c = 5.2202 Å
α = 93.28°, β = 119.98°, γ = 83.42°
With the nearest neighbours (Å) after each atom.
Sites, in units of the cell vectors:
Cr: 0.3344 0.5000 0.6687  6 O 2.00-2.04
Li: 0.8807 0.6457 0.3377  4 O 2.00-2.03
Cr: 0.1626 0.7499 0.3251  6 O 2.02-2.07
O: 0.1549 0.3028 0.0009  3 Cr 2.00-2.06, 2 Li 2.03-2.04
Nb: 0.0000 0.5000 0.0000  6 O 2.00-2.03
O: 0.6902 0.9516 0.9999  1 Nb 2.00, 2 Cr 2.01
Cr: 0.4997 0.7499 0.9992  6 O 2.00-2.08
O: 0.4645 0.8018 0.6551  2 Li 2.02, 3 Cr 2.02-2.08
Cr: 0.4995 0.2501 0.9992  6 O 2.00-2.08
Nb: 0.0000 0.0000 0.0000  6 O 2.00-2.03
O: 0.8099 0.3018 0.3447  2 Li 2.02, 3 Cr 2.03-2.08
O: 0.1906 0.1982 0.6552  2 Li 2.02, 3 Cr 2.02-2.07
O: 0.9769 0.0507 0.3331  1 Li 2.00, 1 Nb 2.03, 2 Cr 2.03-2.04
O: 0.8460 0.6972 0.0009  3 Cr 2.00-2.06, 2 Li 2.03-2.04
Li: 0.4569 0.3543 0.3377  4 O 2.00-2.03
Li: 0.4571 0.8541 0.3377  4 O 2.00-2.03
O: 0.8100 0.8017 0.3447  2 Li 2.02, 3 Cr 2.03-2.08
Cr: 0.8379 0.7499 0.6756  6 O 2.03-2.08
O: 0.3565 0.4495 0.3336  1 Li 2.00, 2 Cr 2.03-2.04, 1 Nb 2.03
O: 0.4643 0.3019 0.6551  2 Li 2.01-2.02, 3 Cr 2.02-2.07
O: 0.5348 0.6982 0.3447  2 Li 2.02, 3 Cr 2.03-2.08
Li: 0.8807 0.1459 0.3377  4 O 2.00-2.03
Li: 0.1188 0.3544 0.6619  4 O 2.00-2.04
O: 0.3097 0.0484 0.9999  1 Nb 2.00, 2 Cr 2.01
Li: 0.5430 0.1458 0.6620  4 O 2.00-2.04
O: 0.6434 0.5505 0.6663  1 Li 2.00, 2 Cr 2.03-2.04, 1 Nb 2.03
Cr: 0.8377 0.2501 0.6754  6 O 2.03-2.07
Li: 0.5430 0.6456 0.6618  4 O 2.00-2.04
Cr: 0.3343 0.0000 0.6686  6 O 2.01-2.04
O: 0.3101 0.5482 0.9999  1 Nb 2.00, 2 Cr 2.00
O: 0.6438 0.0507 0.6668  1 Li 2.00, 1 Nb 2.03, 2 Cr 2.04
Cr: 0.6656 0.5000 0.3312  6 O 2.00-2.04
O: 0.1550 0.8027 0.0009  3 Cr 2.00-2.06, 2 Li 2.03-2.04
Cr: 0.1625 0.2501 0.3251  6 O 2.02-2.07
O: 0.3562 0.9493 0.3331  1 Li 2.00, 1 Nb 2.03, 2 Cr 2.04
O: 0.0230 0.9493 0.6668  1 Li 2.00, 1 Nb 2.03, 2 Cr 2.03-2.04
O: 0.1908 0.6981 0.6551  2 Li 2.01-2.02, 3 Cr 2.02-2.07
O: 0.8460 0.1973 0.0009  3 Cr 2.00-2.06, 2 Li 2.03-2.04
Li: 0.1190 0.8542 0.6620  4 O 2.00-2.04
O: 0.9770 0.5505 0.3336  1 Li 2.00, 2 Cr 2.03-2.04, 1 Nb 2.03
Cr: 0.6656 0.0000 0.3313  6 O 2.01-2.04
O: 0.6898 0.4518 0.9999  1 Nb 2.00, 2 Cr 2.00
O: 0.5346 0.1983 0.3447  2 Li 2.02, 3 Cr 2.03-2.08
O: 0.0229 0.4495 0.6663  1 Li 2.00, 2 Cr 2.03-2.04, 1 Nb 2.03

---

Entry 8:
Mg14CrFeO16 | GGA+U | relaxed

Output
Energy of formation: -2862 meV per atom
E_tot: -6.126 eV/atom
ΔE to the lowest computed polymorph: 0.000 eV/atom

a = 4.2564 Å, b = 8.5204 Å, c = 8.6645 Å
α = 90.00°, β = 90.00°, γ = 90.00°
With the nearest neighbours (Å) after each atom.
Sites, in units of the cell vectors:
Mg: 0.0000 0.0000 0.0000  6 O 2.04-2.15
Mg: 0.0000 0.2494 0.2480  6 O 2.13-2.18
Mg: 0.0000 0.2494 0.7520  6 O 2.13-2.18
Mg: 0.0000 0.5000 0.0000  6 O 2.11-2.13
Mg: 0.0000 0.7506 0.2480  6 O 2.13-2.18
Mg: 0.0000 0.7506 0.7520  6 O 2.13-2.18
Mg: 0.5000 0.0000 0.2463  6 O 2.13-2.20
Mg: 0.5000 0.0000 0.7537  6 O 2.13-2.20
Mg: 0.5000 0.2483 0.5000  6 O 2.12-2.15
Mg: 0.5000 0.2496 0.0000  6 O 2.13-2.18
Mg: 0.5000 0.5000 0.2473  6 O 2.13-2.19
Mg: 0.5000 0.5000 0.7527  6 O 2.13-2.19
Mg: 0.5000 0.7504 0.0000  6 O 2.13-2.18
Mg: 0.5000 0.7517 0.5000  6 O 2.12-2.15
Cr: 0.0000 0.0000 0.5000  6 O 2.09-2.29
Fe: 0.0000 0.5000 0.5000  6 O 2.13-2.21
O: 0.0000 0.0000 0.2358  5 Mg 2.04-2.13
O: 0.0000 0.0000 0.7642  5 Mg 2.04-2.13
O: 0.0000 0.2451 0.5000  1 Cr 2.09, 4 Mg 2.13-2.18, 1 Fe 2.17
O: 0.0000 0.2524 0.0000  6 Mg 2.11-2.15
O: 0.0000 0.5000 0.2454  5 Mg 2.13-2.14, 1 Fe 2.21
O: 0.0000 0.5000 0.7546  5 Mg 2.13-2.14, 1 Fe 2.21
O: 0.0000 0.7476 0.0000  6 Mg 2.11-2.15
O: 0.0000 0.7549 0.5000  1 Cr 2.09, 4 Mg 2.13-2.18, 1 Fe 2.17
O: 0.5000 0.0000 0.0000  6 Mg 2.13
O: 0.5000 0.0000 0.5000  4 Mg 2.12-2.20, 2 Cr 2.13
O: 0.5000 0.2505 0.2516  6 Mg 2.13-2.18
O: 0.5000 0.2505 0.7484  6 Mg 2.13-2.18
O: 0.5000 0.5000 0.0000  6 Mg 2.13-2.14
O: 0.5000 0.5000 0.5000  2 Fe 2.13, 4 Mg 2.14-2.19
O: 0.5000 0.7495 0.2516  6 Mg 2.13-2.18
O: 0.5000 0.7495 0.7484  6 Mg 2.13-2.18